DFT (PBE-GGA) results for crystalline Mn3Cr8N9 at its relaxed geometry.

a b c (Å): 6.372 7.686 16.319
angles (deg): 90.00 98.92 90.00
Atoms (fractional coordinates):
1 Mn 0.036 0.095 0.248
2 Mn 0.036 0.405 0.748
3 Mn 0.324 0.665 0.530
4 Mn 0.324 0.835 0.030
5 Mn 0.348 0.094 0.532
6 Mn 0.348 0.406 0.032
7 Mn 0.652 0.594 0.968
8 Mn 0.652 0.906 0.468
9 Mn 0.676 0.165 0.970
10 Mn 0.676 0.335 0.470
11 Mn 0.964 0.595 0.252
12 Mn 0.964 0.905 0.752
13 Cr 0.040 0.126 0.076
14 Cr 0.040 0.374 0.576
15 Cr 0.066 0.635 0.095
16 Cr 0.066 0.865 0.595
17 Cr 0.192 0.133 0.874
18 Cr 0.192 0.367 0.374
19 Cr 0.215 0.633 0.901
20 Cr 0.215 0.867 0.401
21 Cr 0.246 0.158 0.682
22 Cr 0.246 0.342 0.182
23 Cr 0.340 0.640 0.729
24 Cr 0.340 0.860 0.229
25 Cr 0.444 0.111 0.338
26 Cr 0.444 0.389 0.838
27 Cr 0.463 0.603 0.338
28 Cr 0.463 0.897 0.838
29 Cr 0.537 0.103 0.162
30 Cr 0.537 0.397 0.662
31 Cr 0.556 0.611 0.162
32 Cr 0.556 0.889 0.662
33 Cr 0.660 0.140 0.771
34 Cr 0.660 0.360 0.271
35 Cr 0.754 0.658 0.818
36 Cr 0.754 0.842 0.318
37 Cr 0.785 0.133 0.599
38 Cr 0.785 0.367 0.099
39 Cr 0.808 0.633 0.626
40 Cr 0.808 0.867 0.126
41 Cr 0.934 0.135 0.405
42 Cr 0.934 0.365 0.905
43 Cr 0.960 0.626 0.424
44 Cr 0.960 0.874 0.924
45 N 0.036 0.629 0.547
46 N 0.036 0.871 0.047
47 N 0.068 0.728 0.692
48 N 0.068 0.772 0.192
49 N 0.085 0.119 0.575
50 N 0.085 0.381 0.075
51 N 0.225 0.012 0.771
52 N 0.225 0.488 0.271
53 N 0.242 0.090 0.178
54 N 0.242 0.410 0.678
55 N 0.243 0.120 0.418
56 N 0.243 0.380 0.918
57 N 0.257 0.606 0.417
58 N 0.257 0.894 0.917
59 N 0.471 0.641 0.844
60 N 0.471 0.859 0.344
61 N 0.490 0.653 0.634
62 N 0.490 0.847 0.134
63 N 0.510 0.153 0.866
64 N 0.510 0.347 0.366
65 N 0.529 0.141 0.656
66 N 0.529 0.359 0.156
67 N 0.743 0.106 0.083
68 N 0.743 0.394 0.583
69 N 0.757 0.620 0.082
70 N 0.757 0.880 0.582
71 N 0.758 0.590 0.322
72 N 0.758 0.910 0.822
73 N 0.775 0.512 0.729
74 N 0.775 0.988 0.229
75 N 0.915 0.619 0.925
76 N 0.915 0.881 0.425
77 N 0.932 0.228 0.808
78 N 0.932 0.272 0.308
79 N 0.964 0.129 0.953
80 N 0.964 0.371 0.453

Values from the calculation:
Its space-group type is P2_1/c, No. 14. As for the total energy: -737.67 eV for the cell shown.

DFT (PBE-GGA) results for crystalline Li4P2O7 at its relaxed geometry.

a b c (Å): 5.260 14.118 9.560
angles (deg): 90.00 123.31 90.00
Atoms (fractional coordinates):
1 Li 0.102 0.106 0.432
2 Li 0.102 0.394 0.932
3 Li 0.146 0.717 0.949
4 Li 0.146 0.783 0.449
5 Li 0.257 0.175 0.954
6 Li 0.257 0.325 0.454
7 Li 0.261 0.558 0.441
8 Li 0.261 0.942 0.941
9 Li 0.739 0.058 0.059
10 Li 0.739 0.442 0.559
11 Li 0.743 0.675 0.546
12 Li 0.743 0.825 0.046
13 Li 0.854 0.217 0.551
14 Li 0.854 0.283 0.051
15 Li 0.898 0.606 0.068
16 Li 0.898 0.894 0.568
17 P 0.436 0.051 0.263
18 P 0.436 0.449 0.763
19 P 0.443 0.666 0.761
20 P 0.443 0.834 0.261
21 P 0.557 0.166 0.739
22 P 0.557 0.334 0.239
23 P 0.564 0.551 0.237
24 P 0.564 0.949 0.737
25 O 0.141 0.069 0.254
26 O 0.141 0.431 0.754
27 O 0.148 0.689 0.748
28 O 0.148 0.811 0.248
29 O 0.279 0.220 0.596
30 O 0.279 0.280 0.096
31 O 0.295 0.610 0.107
32 O 0.295 0.890 0.607
33 O 0.389 0.053 0.089
34 O 0.389 0.447 0.589
35 O 0.409 0.671 0.591
36 O 0.409 0.829 0.091
37 O 0.452 0.058 0.666
38 O 0.452 0.442 0.166
39 O 0.548 0.558 0.834
40 O 0.548 0.942 0.334
41 O 0.591 0.171 0.909
42 O 0.591 0.329 0.409
43 O 0.611 0.553 0.411
44 O 0.611 0.947 0.911
45 O 0.705 0.110 0.393
46 O 0.705 0.390 0.893
47 O 0.721 0.720 0.904
48 O 0.721 0.780 0.404
49 O 0.852 0.189 0.752
50 O 0.852 0.311 0.252
51 O 0.859 0.569 0.246
52 O 0.859 0.931 0.746

Values from the calculation:
Its space-group type is P2_1/c, No. 14. The value obtained for the excess energy over the best structure of this formula in the dataset is 0.000 eV/atom.

DFT (PBE-GGA) results for crystalline Ti2ZnP2O10 at its relaxed geometry.

a b c (Å): 9.176 6.665 10.145
angles (deg): 62.17 39.96 77.87
Atoms (fractional coordinates):
1 Ti 0.267 0.733 0.504
2 Ti 0.733 0.267 0.496
3 Ti 0.746 0.754 0.983
4 Ti 0.754 0.746 0.517
5 Zn 0.106 0.106 0.894
6 Zn 0.356 0.356 0.144
7 P 0.167 0.592 0.915
8 P 0.335 0.923 0.083
9 P 0.592 0.167 0.327
10 P 0.923 0.335 0.658
11 O 0.014 0.320 0.456
12 O 0.028 0.378 0.156
13 O 0.040 0.794 0.930
14 O 0.094 0.812 0.222
15 O 0.129 0.461 0.566
16 O 0.192 0.501 0.780
17 O 0.320 0.014 0.210
18 O 0.378 0.028 0.438
19 O 0.406 0.684 0.789
20 O 0.461 0.129 0.844
21 O 0.470 0.723 0.058
22 O 0.501 0.192 0.527
23 O 0.552 0.709 0.285
24 O 0.684 0.406 0.121
25 O 0.709 0.552 0.453
26 O 0.723 0.470 0.749
27 O 0.794 0.040 0.236
28 O 0.797 0.965 0.541
29 O 0.812 0.094 0.872
30 O 0.965 0.797 0.698

Values from the calculation:
Its space-group type is Fdd2, No. 43. As for the total energy: -225.17 eV for the cell shown.

DFT (PBE-GGA) results for crystalline Sr at its relaxed geometry.

a b c (Å): 4.070 4.070 3.774
angles (deg): 90.00 90.00 120.00
Atoms (fractional coordinates):
1 Sr 0.000 0.000 0.000

Values from the calculation:
Its space-group type is P6/mmm, No. 191. The value obtained for the excess energy over the best structure of this formula in the dataset is 0.236 eV/atom.

DFT (PBE-GGA) results for crystalline PrAl8Co2 at its relaxed geometry.

a b c (Å): 12.498 14.395 4.009
angles (deg): 90.00 90.00 90.00
Atoms (fractional coordinates):
1 Pr 0.159 0.182 0.000
2 Pr 0.341 0.682 0.000
3 Pr 0.659 0.318 0.000
4 Pr 0.841 0.818 0.000
5 Al 0.000 0.000 0.000
6 Al 0.000 0.500 0.500
7 Al 0.026 0.868 0.500
8 Al 0.047 0.321 0.500
9 Al 0.096 0.747 0.000
10 Al 0.159 0.620 0.500
11 Al 0.160 0.456 0.000
12 Al 0.169 0.008 0.500
13 Al 0.236 0.828 0.500
14 Al 0.264 0.328 0.500
15 Al 0.331 0.508 0.500
16 Al 0.340 0.956 0.000
17 Al 0.341 0.120 0.500
18 Al 0.404 0.247 0.000
19 Al 0.453 0.821 0.500
20 Al 0.474 0.368 0.500
21 Al 0.500 0.000 0.500
22 Al 0.500 0.500 0.000
23 Al 0.526 0.632 0.500
24 Al 0.547 0.179 0.500
25 Al 0.596 0.753 0.000
26 Al 0.659 0.880 0.500
27 Al 0.660 0.044 0.000
28 Al 0.669 0.492 0.500
29 Al 0.736 0.672 0.500
30 Al 0.764 0.172 0.500
31 Al 0.831 0.992 0.500
32 Al 0.840 0.544 0.000
33 Al 0.841 0.380 0.500
34 Al 0.904 0.253 0.000
35 Al 0.953 0.679 0.500
36 Al 0.974 0.132 0.500
37 Co 0.035 0.594 0.000
38 Co 0.152 0.904 0.000
39 Co 0.348 0.404 0.000
40 Co 0.465 0.094 0.000
41 Co 0.535 0.906 0.000
42 Co 0.652 0.596 0.000
43 Co 0.848 0.096 0.000
44 Co 0.965 0.406 0.000

Values from the calculation:
Its space-group type is Pbam, No. 55. As for the total energy: -216.33 eV for the cell shown.

DFT (PBE-GGA) results for crystalline Ho2B3O8 at its relaxed geometry.

a b c (Å): 12.893 4.362 8.895
angles (deg): 90.00 90.00 90.00
Atoms (fractional coordinates):
1 Ho 0.139 0.050 0.038
2 Ho 0.139 0.950 0.538
3 Ho 0.361 0.450 0.538
4 Ho 0.361 0.550 0.038
5 Ho 0.639 0.450 0.962
6 Ho 0.639 0.550 0.462
7 Ho 0.861 0.050 0.462
8 Ho 0.861 0.950 0.962
9 B 0.000 0.437 0.750
10 B 0.000 0.563 0.250
11 B 0.193 0.479 0.303
12 B 0.193 0.521 0.803
13 B 0.307 0.021 0.803
14 B 0.307 0.979 0.303
15 B 0.500 0.063 0.250
16 B 0.500 0.937 0.750
17 B 0.693 0.021 0.697
18 B 0.693 0.979 0.197
19 B 0.807 0.479 0.197
20 B 0.807 0.521 0.697
21 O 0.004 0.222 0.878
22 O 0.004 0.778 0.378
23 O 0.094 0.363 0.240
24 O 0.094 0.637 0.740
25 O 0.189 0.463 0.465
26 O 0.189 0.537 0.965
27 O 0.216 0.204 0.747
28 O 0.216 0.796 0.247
29 O 0.284 0.296 0.247
30 O 0.284 0.704 0.747
31 O 0.311 0.037 0.965
32 O 0.311 0.963 0.465
33 O 0.406 0.137 0.740
34 O 0.406 0.863 0.240
35 O 0.496 0.278 0.378
36 O 0.496 0.722 0.878
37 O 0.504 0.278 0.122
38 O 0.504 0.722 0.622
39 O 0.594 0.137 0.760
40 O 0.594 0.863 0.260
41 O 0.689 0.037 0.535
42 O 0.689 0.963 0.035
43 O 0.716 0.296 0.253
44 O 0.716 0.704 0.753
45 O 0.784 0.204 0.753
46 O 0.784 0.796 0.253
47 O 0.811 0.463 0.035
48 O 0.811 0.537 0.535
49 O 0.906 0.363 0.260
50 O 0.906 0.637 0.760
51 O 0.996 0.222 0.622
52 O 0.996 0.778 0.122

Values from the calculation:
Its space-group type is Pbcn, No. 60. As for the total energy: -420.66 eV for the cell shown.

DFT (PBE-GGA) results for crystalline Rb2MgO2 at its relaxed geometry.

a b c (Å): 9.780 6.489 16.209
angles (deg): 90.00 118.31 90.00
Atoms (fractional coordinates):
1 Rb 0.068 0.065 0.121
2 Rb 0.068 0.435 0.621
3 Rb 0.181 0.584 0.260
4 Rb 0.181 0.916 0.760
5 Rb 0.353 0.668 0.529
6 Rb 0.353 0.832 0.029
7 Rb 0.421 0.129 0.665
8 Rb 0.421 0.371 0.165
9 Rb 0.579 0.629 0.835
10 Rb 0.579 0.871 0.335
11 Rb 0.647 0.168 0.971
12 Rb 0.647 0.332 0.471
13 Rb 0.819 0.084 0.240
14 Rb 0.819 0.416 0.740
15 Rb 0.932 0.565 0.379
16 Rb 0.932 0.935 0.879
17 Mg 0.088 0.050 0.460
18 Mg 0.088 0.450 0.960
19 Mg 0.257 0.129 0.373
20 Mg 0.257 0.371 0.873
21 Mg 0.743 0.629 0.127
22 Mg 0.743 0.871 0.627
23 Mg 0.912 0.550 0.040
24 Mg 0.912 0.950 0.540
25 O 0.117 0.598 0.858
26 O 0.117 0.902 0.358
27 O 0.129 0.628 0.070
28 O 0.129 0.872 0.570
29 O 0.240 0.225 0.973
30 O 0.240 0.275 0.473
31 O 0.362 0.196 0.303
32 O 0.362 0.304 0.803
33 O 0.638 0.696 0.197
34 O 0.638 0.804 0.697
35 O 0.760 0.725 0.527
36 O 0.760 0.775 0.027
37 O 0.871 0.128 0.430
38 O 0.871 0.372 0.930
39 O 0.883 0.098 0.642
40 O 0.883 0.402 0.142

Values from the calculation:
Its space-group type is P2_1/c, No. 14. The value obtained for the excess energy over the best structure of this formula in the dataset is 0.022 eV/atom.

DFT (PBE-GGA) results for crystalline CdRh2O4 at its relaxed geometry.

a b c (Å): 6.312 6.312 6.312
angles (deg): 60.00 60.00 60.00
Atoms (fractional coordinates):
1 Cd 0.125 0.125 0.125
2 Cd 0.875 0.875 0.875
3 Rh 0.000 0.500 0.500
4 Rh 0.500 0.000 0.500
5 Rh 0.500 0.500 0.000
6 Rh 0.500 0.500 0.500
7 O 0.268 0.268 0.268
8 O 0.268 0.268 0.695
9 O 0.268 0.695 0.268
10 O 0.305 0.732 0.732
11 O 0.695 0.268 0.268
12 O 0.732 0.305 0.732
13 O 0.732 0.732 0.305
14 O 0.732 0.732 0.732

Values from the calculation:
Its space-group type is Fd-3m, No. 227. As for the total energy: -82.38 eV for the cell shown.